Entry from Materials Project: an optimized crystal structure of Sb2O5 (meta-GGA r2SCAN). Values from VASP.

```
&SYSTEM
  ibrav = 0, nat = 14, ntyp = 2
/
ATOMIC_SPECIES
Sb 121.76 Sb.upf
O 16.00 O.upf
ATOMIC_POSITIONS angstrom
Sb -3.183 3.030 10.340
Sb -3.846 2.076 7.296
Sb -2.355 0.362 4.262
Sb 0.358 -1.041 3.131
O -4.674 3.018 8.981
O -2.354 2.087 8.655
O -0.466 -0.084 4.810
O -1.531 -0.595 2.583
O 0.921 0.664 2.519
O -2.918 -1.343 4.874
O -4.455 0.425 8.004
O -3.099 1.223 5.778
O 1.102 -1.902 1.616
O -2.574 4.681 9.632
CELL_PARAMETERS angstrom
-1.172 -3.355 1.319
3.382 -0.432 1.905
-5.032 5.785 10.243
```

SG	Pmmn, No. 59

Entry from Materials Project: an optimized crystal structure of LaP3O9 (meta-GGA r2SCAN). Values from VASP.

```
&SYSTEM
  ibrav = 0, nat = 26, ntyp = 3
/
ATOMIC_SPECIES
La 138.91 La.upf
P 30.97 P.upf
O 16.00 O.upf
ATOMIC_POSITIONS angstrom
La -3.274 -2.958 -6.144
La 0.831 -3.768 0.017
P -0.144 -1.684 -4.523
P -2.047 -5.683 -1.429
P -1.046 -8.429 -0.795
P 0.966 -4.331 -3.685
P -0.946 -0.855 -1.776
P -1.496 -5.871 -4.351
O 2.171 -7.418 -1.440
O -2.204 -5.461 -3.008
O -2.267 -1.706 -1.825
O 0.029 -5.542 -4.159
O -3.532 -2.701 -3.745
O 1.279 -4.507 -2.250
O 1.276 -8.376 -3.575
O -1.294 -4.544 -0.862
O -0.047 -3.107 -3.812
O -1.088 -6.956 -1.404
O -2.114 -5.048 -5.440
O 1.416 -6.135 0.529
O -1.597 -7.344 -4.610
O 0.024 -1.602 -0.911
O 2.074 -4.220 -4.654
O -2.117 -8.635 0.199
O -3.384 -6.001 -0.889
O 1.155 -1.271 -5.089
CELL_PARAMETERS angstrom
-6.559 -2.713 -0.532
2.809 -0.675 -6.505
2.614 -6.676 1.821
```

SG	C222_1, No. 20

Entry from Materials Project: an optimized crystal structure of PrMn2Ge2 (meta-GGA r2SCAN). Values from VASP.

```
&SYSTEM
  ibrav = 0, nat = 5, ntyp = 3
/
ATOMIC_SPECIES
Pr 140.91 Pr.upf
Mn 54.94 Mn.upf
Ge 72.64 Ge.upf
ATOMIC_POSITIONS angstrom
Pr 0.000 0.000 0.000
Mn -1.720 -0.374 3.007
Mn -3.430 -0.123 0.595
Ge -2.036 -2.199 1.216
Ge -3.114 1.702 2.386
CELL_PARAMETERS angstrom
-2.811 -2.460 -1.913
0.611 -2.961 2.910
-2.951 4.924 2.605
```

SG	I4/mmm, No. 139

Entry from Materials Project: an optimized crystal structure of CaMgPd (meta-GGA r2SCAN). Values from VASP.

```
&SYSTEM
  ibrav = 0, nat = 12, ntyp = 3
/
ATOMIC_SPECIES
Ca 40.08 Ca.upf
Mg 24.30 Mg.upf
Pd 106.42 Pd.upf
ATOMIC_POSITIONS angstrom
Ca -0.450 2.136 2.004
Ca -3.772 0.144 2.052
Ca -7.230 2.749 5.838
Ca -3.909 4.742 5.790
Mg -0.669 4.441 6.748
Mg -4.170 1.476 5.117
Mg -7.011 0.445 1.094
Mg -3.510 3.410 2.726
Pd -1.764 2.750 4.752
Pd -4.773 2.443 7.713
Pd -5.917 2.135 3.090
Pd -2.908 2.442 0.130
CELL_PARAMETERS angstrom
-2.054 3.382 -1.737
-6.410 -2.729 2.266
0.783 4.233 7.314
```

SG	Pnma, No. 62

Entry from Materials Project: an optimized crystal structure of AlCuPt2 (meta-GGA r2SCAN). Values from VASP.

```
&SYSTEM
  ibrav = 0, nat = 4, ntyp = 3
/
ATOMIC_SPECIES
Al 26.98 Al.upf
Cu 63.55 Cu.upf
Pt 195.08 Pt.upf
ATOMIC_POSITIONS angstrom
Al 0.000 0.000 0.000
Cu 0.000 1.985 1.985
Pt 1.744 0.000 1.985
Pt 1.744 1.985 0.000
CELL_PARAMETERS angstrom
3.489 0.000 0.000
0.000 3.971 0.000
0.000 0.000 3.971
```

SG	P4/mmm, No. 123

Entry from Materials Project: an optimized crystal structure of DyZn5 (meta-GGA r2SCAN). Values from VASP.

```
&SYSTEM
  ibrav = 0, nat = 6, ntyp = 2
/
ATOMIC_SPECIES
Dy 162.50 Dy.upf
Zn 65.41 Zn.upf
ATOMIC_POSITIONS angstrom
Dy 0.000 0.000 0.000
Zn -1.307 2.264 2.088
Zn 0.000 3.019 0.000
Zn 2.614 1.509 0.000
Zn 2.614 0.000 2.088
Zn 1.307 2.264 2.088
CELL_PARAMETERS angstrom
5.229 0.000 0.000
-2.614 4.528 0.000
0.000 0.000 4.176
```

SG	P6/mmm, No. 191

Entry from Materials Project: an optimized crystal structure of Ti2Co12P7 (meta-GGA r2SCAN). Values from VASP.

```
&SYSTEM
  ibrav = 0, nat = 21, ntyp = 3
/
ATOMIC_SPECIES
Ti 47.87 Ti.upf
Co 58.93 Co.upf
P 30.97 P.upf
ATOMIC_POSITIONS angstrom
Ti 0.000 0.000 0.000
Ti -2.522 4.202 2.172
Co -2.420 1.927 0.526
Co -1.518 5.600 -0.049
Co -5.057 4.648 1.045
Co -5.219 3.102 3.039
Co -0.200 2.309 1.671
Co -2.149 7.195 1.807
Co 0.715 6.421 -0.759
Co 0.923 2.780 -0.504
Co 3.858 4.712 -1.510
Co 3.081 6.341 0.385
Co 0.603 4.727 1.233
Co 3.242 3.277 0.603
P -0.111 6.856 1.254
P 1.834 1.615 1.150
P 5.203 5.874 -0.182
P 1.832 4.638 -0.924
P -4.372 2.615 1.025
P -1.077 3.518 0.004
P -3.547 6.043 0.493
CELL_PARAMETERS angstrom
6.663 5.217 -2.356
-7.829 3.479 1.939
0.953 0.287 3.330
```

SG	P-6, No. 174

Entry from Materials Project: an optimized crystal structure of Ho2Al (meta-GGA r2SCAN). Values from VASP.

```
&SYSTEM
  ibrav = 0, nat = 12, ntyp = 2
/
ATOMIC_SPECIES
Ho 164.93 Ho.upf
Al 26.98 Al.upf
ATOMIC_POSITIONS angstrom
Ho 5.659 3.282 6.952
Ho 3.631 -3.867 1.360
Ho 5.574 -1.147 5.575
Ho 3.716 0.563 2.738
Ho 0.865 0.465 4.566
Ho 8.425 -1.049 3.747
Ho 2.527 -2.417 4.217
Ho 6.763 1.833 4.096
Al 7.741 0.592 6.795
Al 1.549 -1.176 1.518
Al 3.672 1.343 5.728
Al 5.618 -1.927 2.585
CELL_PARAMETERS angstrom
-1.475 -1.412 4.631
4.353 -4.853 -0.093
6.412 5.680 3.774
```

SG	Pnma, No. 62

Entry from Materials Project: an optimized crystal structure of PrBN2 (meta-GGA r2SCAN). Values from VASP.

```
&SYSTEM
  ibrav = 0, nat = 24, ntyp = 3
/
ATOMIC_SPECIES
Pr 140.91 Pr.upf
B 10.81 B.upf
N 14.01 N.upf
ATOMIC_POSITIONS angstrom
Pr 0.410 2.774 4.656
Pr 1.210 -3.330 4.121
Pr 5.207 0.556 1.454
Pr 3.492 -2.774 1.191
Pr 2.691 3.330 1.725
Pr -1.306 -0.556 4.392
B 1.881 -0.725 5.082
B 2.020 0.725 0.764
B -0.069 0.725 2.159
B 0.975 -1.450 1.462
B 3.971 -0.725 3.688
B 2.926 1.450 4.385
N 2.926 2.931 4.385
N 5.038 -1.466 2.976
N 3.087 1.466 0.053
N 0.815 -1.466 5.794
N 0.975 -2.931 1.462
N -1.136 1.466 2.871
N 2.926 -1.483 4.385
N 1.858 0.742 5.098
N 3.994 0.742 3.672
N 0.975 1.483 1.462
N 2.044 -0.742 0.749
N -0.093 -0.742 2.175
CELL_PARAMETERS angstrom
4.232 -6.104 -0.007
4.232 6.104 -0.007
-4.562 0.000 5.861
```

SG	R-3c, No. 167

Across the entries above, total magnetization takes the values 0.00; 0.00; 7.78; 0.00; 0.00; 0.00; 7.34; 0.00; 0.00 Bohr magnetons per cell, respectively.
Across the entries above, formation energy from the elements takes the values -1.3702; -2.7651; -0.6500; -0.5987; -0.7594; -0.3320; -0.6577; -0.3447; -1.5377 eV per atom, respectively.